Computed, not measured: Nb3FeS6 after structural relaxation at the meta-GGA r2SCAN level of DFT.

Unit cell a=5.786 b=5.786 c=11.781 alpha=90.00 beta=90.00 gamma=120.00
Fractional positions:
1 Nb 0.000 0.000 0.500
2 Nb 0.000 0.000 0.000
3 Nb 0.333 0.667 0.994
4 Nb 0.667 0.333 0.005
5 Nb 0.667 0.333 0.495
6 Nb 0.333 0.667 0.506
7 Fe 0.333 0.667 0.250
8 Fe 0.667 0.333 0.750
9 S 0.331 0.339 0.366
10 S 0.661 0.992 0.366
11 S 0.008 0.669 0.366
12 S 0.339 0.331 0.634
13 S 0.992 0.661 0.634
14 S 0.669 0.008 0.634
15 S 0.669 0.661 0.866
16 S 0.339 0.008 0.866
17 S 0.992 0.331 0.866
18 S 0.661 0.669 0.134
19 S 0.008 0.339 0.134
20 S 0.331 0.992 0.134

Summary:
* M_tot: 1.1 μB per formula unit
* formation enthalpy at 0 K: -1118 meV per atom
* E: -14.800 eV per atom
* symmetry: P6_322